Entry 1:
## Ca2Al4Si4O17 (PBE-GGA)

Data for a geometry-optimized Ca2Al4Si4O17 structure.

Unit cell a=21.045 b=9.402 c=8.584 alpha=90.00 beta=100.15 gamma=90.00
Space group C2/c (No. 15)
Asymmetric unit:
Ca 0.166 0.182 0.058 [8 per cell]
Al 0.095 0.377 0.355 [8 per cell]
Al 0.203 0.188 0.711 [8 per cell]
Si 0.063 0.305 0.691 [8 per cell]
Si 0.242 0.449 0.550 [8 per cell]
O 0.000 0.229 0.750 [4 per cell]
O 0.057 0.302 0.501 [8 per cell]
O 0.069 0.465 0.761 [8 per cell]
O 0.091 0.262 0.189 [8 per cell]
O 0.129 0.214 0.775 [8 per cell]
O 0.175 0.412 0.443 [8 per cell]
O 0.198 0.067 0.551 [8 per cell]
O 0.247 0.160 0.297 [8 per cell]
O 0.249 0.383 0.110 [8 per cell]

Properties
Size of the total moment: 8.0 μB per cell
Formation energy: -305 kJ per mole of atoms
DFT total energy: -793.64 eV per cell

Entry 2:
## ErCdAg2 (PBE-GGA)

Data for a geometry-optimized ErCdAg2 structure.

Unit cell a=6.976 b=6.976 c=6.976 alpha=90.00 beta=90.00 gamma=90.00
Space group Fm-3m (No. 225)
Asymmetric unit:
Er 0.000 0.000 0.000 [4 per cell]
Cd 0.000 0.000 0.500 [4 per cell]
Ag 0.250 0.250 0.250 [8 per cell]

Properties
Formation energy: -27 kJ per mole of atoms
DFT total energy: -49.16 eV per cell

Entry 3:
## LiMg6BO8 (PBE-GGA)

Data for a geometry-optimized LiMg6BO8 structure.

Unit cell a=4.274 b=4.274 c=8.101 alpha=90.00 beta=90.00 gamma=90.00
Space group P4/mmm (No. 123)
Asymmetric unit:
Li 0.000 0.000 0.000 [1 per cell]
Mg 0.000 0.500 0.254 [4 per cell]
Mg 0.500 0.500 0.000 [1 per cell]
Mg 0.500 0.500 0.500 [1 per cell]
B 0.000 0.000 0.500 [1 per cell]
O 0.000 0.000 0.322 [2 per cell]
O 0.000 0.500 0.000 [2 per cell]
O 0.000 0.500 0.500 [2 per cell]
O 0.500 0.500 0.250 [2 per cell]

Properties
E above lowest polymorph: 0.0 meV per atom
Size of the total moment: 0.0 μB per cell
Formation energy: -263 kJ per mole of atoms
DFT total energy: -95.84 eV per cell

Entry 4:
## Ba2MgTi3Tl2O10 (PBE-GGA)

Data for a geometry-optimized Ba2MgTi3Tl2O10 structure.

Unit cell a=3.744 b=4.983 c=16.324 alpha=82.77 beta=87.50 gamma=89.75
Space group P1 (No. 1)
Asymmetric unit:
Ba 0.000 0.000 0.000 [1 per cell]
Ba 0.408 0.164 0.494 [1 per cell]
Mg 0.886 0.655 0.622 [1 per cell]
Ti 0.478 0.448 0.114 [1 per cell]
Ti 0.924 0.647 0.389 [1 per cell]
Ti 0.953 0.192 0.255 [1 per cell]
Tl 0.082 0.137 0.731 [1 per cell]
Tl 0.526 0.543 0.844 [1 per cell]
O 0.027 0.849 0.847 [1 per cell]
O 0.383 0.805 0.637 [1 per cell]
O 0.423 0.735 0.402 [1 per cell]
O 0.455 0.292 0.239 [1 per cell]
O 0.481 0.800 0.103 [1 per cell]
O 0.498 0.384 0.004 [1 per cell]
O 0.903 0.538 0.512 [1 per cell]
O 0.931 0.292 0.370 [1 per cell]
O 0.948 0.837 0.278 [1 per cell]
O 0.975 0.323 0.134 [1 per cell]

Properties
Size of the total moment: 0.0 μB per cell
Formation energy: -270 kJ per mole of atoms
DFT total energy: -126.88 eV per cell

Entry 5:
## ThGe2Pd2 (PBE-GGA)

Data for a geometry-optimized ThGe2Pd2 structure.

Unit cell a=4.326 b=4.326 c=10.302 alpha=90.00 beta=90.00 gamma=90.00
Space group I4/mmm (No. 139)
Asymmetric unit:
Th 0.000 0.000 0.000 [2 per cell]
Ge 0.000 0.000 0.380 [4 per cell]
Pd 0.000 0.500 0.250 [4 per cell]

Properties
Formation energy: -79 kJ per mole of atoms
DFT total energy: -62.18 eV per cell

Entry 6:
## Sr5U5O19 (PBE-GGA)

Data for a geometry-optimized Sr5U5O19 structure.

Unit cell a=6.893 b=7.769 c=8.749 alpha=100.05 beta=97.52 gamma=107.30
Space group P1 (No. 1)
Asymmetric unit:
Sr 0.000 0.000 0.000 [1 per cell]
Sr 0.182 0.390 0.406 [1 per cell]
Sr 0.400 0.796 0.812 [1 per cell]
Sr 0.598 0.198 0.212 [1 per cell]
Sr 0.794 0.594 0.605 [1 per cell]
U 0.208 0.903 0.421 [1 per cell]
U 0.392 0.294 0.802 [1 per cell]
U 0.578 0.695 0.208 [1 per cell]
U 0.794 0.101 0.611 [1 per cell]
U 0.998 0.482 0.999 [1 per cell]
O 0.040 0.691 0.885 [1 per cell]
O 0.051 0.243 0.834 [1 per cell]
O 0.127 0.131 0.572 [1 per cell]
O 0.162 0.708 0.547 [1 per cell]
O 0.192 0.669 0.225 [1 per cell]
O 0.234 0.078 0.275 [1 per cell]
O 0.342 0.531 0.983 [1 per cell]
O 0.368 0.115 0.942 [1 per cell]
O 0.430 0.484 0.676 [1 per cell]
O 0.456 0.055 0.644 [1 per cell]
O 0.525 0.502 0.336 [1 per cell]
O 0.543 0.933 0.384 [1 per cell]
O 0.648 0.888 0.080 [1 per cell]
O 0.721 0.518 0.075 [1 per cell]
O 0.735 0.345 0.786 [1 per cell]
O 0.756 0.896 0.726 [1 per cell]
O 0.831 0.293 0.481 [1 per cell]
O 0.871 0.818 0.377 [1 per cell]
O 0.952 0.291 0.130 [1 per cell]

Properties
E above lowest polymorph: 0.0 meV per atom
Formation energy: -357 kJ per mole of atoms
DFT total energy: -253.31 eV per cell

Entry 7:
## Rb2ScAuF6 (PBE-GGA)

Data for a geometry-optimized Rb2ScAuF6 structure.

Unit cell a=9.069 b=9.069 c=9.069 alpha=90.00 beta=90.00 gamma=90.00
Space group Fm-3m (No. 225)
Asymmetric unit:
Rb 0.250 0.250 0.250 [8 per cell]
Sc 0.000 0.000 0.000 [4 per cell]
Au 0.000 0.000 0.500 [4 per cell]
F 0.000 0.000 0.224 [24 per cell]

Properties
Size of the total moment: 0.0 μB per cell
Formation energy: -290 kJ per mole of atoms
DFT total energy: -201.48 eV per cell

Entry 8:
## TiPO4F (PBE-GGA)

Data for a geometry-optimized TiPO4F structure.

Unit cell a=7.352 b=7.349 c=7.427 alpha=90.00 beta=118.47 gamma=90.00
Space group C2/c (No. 15)
Asymmetric unit:
Ti 0.250 0.250 0.000 [4 per cell]
P 0.000 0.120 0.250 [4 per cell]
O 0.097 0.243 0.151 [8 per cell]
O 0.169 0.004 0.913 [8 per cell]
F 0.000 0.330 0.750 [4 per cell]

Properties
E above lowest polymorph: 0.0 meV per atom
Size of the total moment: 0.0 μB per cell
Formation energy: -306 kJ per mole of atoms
DFT total energy: -215.90 eV per cell

Entry 9:
## Y5Bi3 (PBE-GGA)

Data for a geometry-optimized Y5Bi3 structure.

Unit cell a=8.284 b=9.521 c=12.124 alpha=90.00 beta=90.00 gamma=90.00
Space group Pnma (No. 62)
Asymmetric unit:
Y 0.027 0.250 0.011 [4 per cell]
Y 0.146 0.750 0.285 [4 per cell]
Y 0.186 0.250 0.281 [4 per cell]
Y 0.194 0.063 0.560 [8 per cell]
Bi 0.066 0.004 0.826 [8 per cell]
Bi 0.090 0.750 0.542 [4 per cell]

Properties
E above lowest polymorph: 0.0 meV per atom
Formation energy: -70 kJ per mole of atoms
DFT total energy: -199.26 eV per cell

Entry 10:
## Ba2CeC3O9F (PBE-GGA)

Data for a geometry-optimized Ba2CeC3O9F structure.

Unit cell a=6.699 b=5.163 c=13.299 alpha=90.00 beta=102.70 gamma=90.00
Space group P2_1/m (No. 11)
Asymmetric unit:
Ba 0.215 0.250 0.425 [2 per cell]
Ba 0.273 0.250 0.083 [2 per cell]
Ce 0.228 0.250 0.739 [2 per cell]
C 0.215 0.750 0.227 [2 per cell]
C 0.254 0.750 0.926 [2 per cell]
C 0.332 0.750 0.629 [2 per cell]
O 0.121 0.534 0.237 [4 per cell]
O 0.136 0.750 0.991 [2 per cell]
O 0.192 0.750 0.684 [2 per cell]
O 0.320 0.532 0.896 [4 per cell]
O 0.391 0.750 0.203 [2 per cell]
O 0.401 0.531 0.604 [4 per cell]
F 0.014 0.750 0.426 [2 per cell]

Properties
Size of the total moment: 2.0 μB per cell
Formation energy: -272 kJ per mole of atoms
DFT total energy: -244.73 eV per cell

Entry 11:
## Li4Ca3Si2N6 (PBE-GGA)

Data for a geometry-optimized Li4Ca3Si2N6 structure.

Unit cell a=5.819 b=9.755 c=5.999 alpha=90.00 beta=90.49 gamma=90.00
Space group C2/m (No. 12)
Asymmetric unit:
Li 0.139 0.175 0.374 [8 per cell]
Ca 0.000 0.315 0.000 [4 per cell]
Ca 0.000 0.500 0.500 [2 per cell]
Si 0.119 0.000 0.831 [4 per cell]
N 0.193 0.000 0.133 [4 per cell]
N 0.216 0.149 0.709 [8 per cell]

Properties
Size of the total moment: 0.0 μB per cell
Formation energy: -109 kJ per mole of atoms
DFT total energy: -178.61 eV per cell

Entry 12:
## Tb4Ga16Co3 (PBE-GGA)

Data for a geometry-optimized Tb4Ga16Co3 structure.

Unit cell a=6.036 b=6.036 c=11.106 alpha=90.00 beta=90.00 gamma=90.00
Space group P4/mmm (No. 123)
Asymmetric unit:
Tb 0.000 0.500 0.194 [4 per cell]
Ga 0.000 0.000 0.195 [2 per cell]
Ga 0.220 0.220 0.000 [4 per cell]
Ga 0.250 0.250 0.385 [8 per cell]
Ga 0.500 0.500 0.219 [2 per cell]
Co 0.000 0.500 0.500 [2 per cell]
Co 0.500 0.500 0.000 [1 per cell]

Properties
Formation energy: -50 kJ per mole of atoms
DFT total energy: -100.14 eV per cell

Q: What is the formation energy in the fifth record?
A: -79 kJ per mole of atoms